No. 1
# PbS GGA-PBE relaxed
# Total moment (μB/f.u.): 0.0
data_PbS
_chemical_formula_sum 'Pb4 S4'
_space_group_name_H-M_alt 'P 1 21/m 1'
_space_group_IT_number 11
_space_group_name_Hall '-P 2yb'
_cell_length_a 5.946
_cell_length_b 4.033
_cell_length_c 10.560
_cell_angle_alpha 90.00
_cell_angle_beta 93.60
_cell_angle_gamma 90.00
loop_
_atom_site_label
_atom_site_fract_x
_atom_site_fract_y
_atom_site_fract_z
Pb1 0.191 0.250 0.133
Pb2 0.254 0.750 0.603
S1 0.117 0.250 0.856
S2 0.238 0.250 0.425



No. 2
Material: PbS
Method: DFT, GGA-PBE
State: relaxed

```
data_PbS
_chemical_formula_sum 'Pb4 S4'
_space_group_name_H-M_alt 'P n m a'
_space_group_IT_number 62
_space_group_name_Hall '-P 2ac 2n'
_cell_length_a 12.085
_cell_length_b 4.281
_cell_length_c 4.264
_cell_angle_alpha 90.00
_cell_angle_beta 90.00
_cell_angle_gamma 90.00
loop_
_atom_site_label
_atom_site_fract_x
_atom_site_fract_y
_atom_site_fract_z
Pb1 0.130 0.250 0.104
S1 0.144 0.750 0.555
```



| no. | calculated formation energy (eV per atom) | calculated density (g/cm³) | energy (eV per atom) |
| --- | --- | --- | --- |
| 1 | -0.70 | 6.29 | -4.3757 |
| 2 | -0.75 | 7.21 | -4.4266 |